! LiIrN2 (PBE-GGA, relaxed); values from VASP
! E above lowest polymorph in eV/atom: 0.000
! Energy of formation in meV per atom: 20
! Electronic total energy in Ha/atom: -0.245
! Size of the total moment in μB/f.u.: 0.0
&SYSTEM
  ibrav = 0, nat = 8, ntyp = 3
/
ATOMIC_SPECIES
Li 6.94 Li.upf
Ir 192.22 Ir.upf
N 14.01 N.upf
CELL_PARAMETERS angstrom
0.442 5.657 -0.657
-0.207 -2.324 -3.976
-4.671 -6.915 4.285
ATOMIC_POSITIONS crystal
Li 0.000 0.500 0.250
Li 0.000 0.000 0.000
Ir 0.000 0.500 0.750
Ir 0.000 0.000 0.500
N 0.500 0.963 0.125
N 0.500 0.037 0.625
N 0.575 0.537 0.412
N 0.425 0.463 0.838

=====

! NaMg14Ti (PBE-GGA, relaxed); values from VASP
! E above lowest polymorph in eV/atom: 0.000
! Energy of formation in meV per atom: 79
! Electronic total energy in Ha/atom: -0.070
! Size of the total moment in μB/f.u.: 0.9
&SYSTEM
  ibrav = 0, nat = 16, ntyp = 3
/
ATOMIC_SPECIES
Na 22.99 Na.upf
Mg 24.30 Mg.upf
Ti 47.87 Ti.upf
CELL_PARAMETERS angstrom
-3.817 4.796 -1.967
-2.418 -4.780 3.569
2.193 5.224 8.480
ATOMIC_POSITIONS crystal
Na 0.167 0.333 0.625
Mg 0.170 0.835 0.125
Mg 0.169 0.835 0.625
Mg 0.665 0.330 0.125
Mg 0.665 0.331 0.625
Mg 0.665 0.835 0.125
Mg 0.665 0.835 0.625
Mg 0.332 0.168 0.369
Mg 0.332 0.168 0.881
Mg 0.332 0.663 0.369
Mg 0.332 0.663 0.881
Mg 0.837 0.168 0.369
Mg 0.837 0.168 0.881
Mg 0.833 0.667 0.375
Mg 0.833 0.667 0.875
Ti 0.167 0.333 0.125

=====

! BiPtO14 (PBE-GGA, relaxed); values from VASP
! Energy of formation in meV per atom: 816
! Electronic total energy in Ha/atom: -0.137
! Size of the total moment in μB/f.u.: 2.4
&SYSTEM
  ibrav = 0, nat = 32, ntyp = 3
/
ATOMIC_SPECIES
Bi 208.98 Bi.upf
Pt 195.08 Pt.upf
O 16.00 O.upf
CELL_PARAMETERS angstrom
0.000 5.774 5.774
5.774 0.000 5.774
5.774 5.774 0.000
ATOMIC_POSITIONS crystal
Bi 0.500 0.500 0.500
Bi 0.750 0.750 0.750
Pt 0.000 0.000 0.000
Pt 0.250 0.250 0.250
O 0.846 0.450 0.450
O 0.450 0.846 0.254
O 0.450 0.254 0.846
O 0.450 0.846 0.450
O 0.404 0.800 0.996
O 0.404 0.800 0.800
O 0.254 0.450 0.450
O 0.254 0.450 0.846
O 0.800 0.404 0.800
O 0.800 0.404 0.996
O 0.846 0.450 0.254
O 0.800 0.996 0.800
O 0.800 0.996 0.404
O 0.450 0.254 0.450
O 0.996 0.800 0.404
O 0.996 0.800 0.800
O 0.450 0.450 0.846
O 0.254 0.846 0.450
O 0.450 0.450 0.254
O 0.846 0.254 0.450
O 0.996 0.404 0.800
O 0.800 0.800 0.404
O 0.404 0.996 0.800
O 0.800 0.800 0.996
O 0.125 0.125 0.125
O 0.125 0.125 0.625
O 0.125 0.625 0.125
O 0.625 0.125 0.125

=====

! BiSbO5 (PBE-GGA, relaxed); values from VASP
! E above lowest polymorph in eV/atom: 0.131
! Energy of formation in meV per atom: -1172
! Electronic total energy in Ha/atom: -0.197
! Size of the total moment in μB/f.u.: 1.0
&SYSTEM
  ibrav = 0, nat = 56, ntyp = 3
/
ATOMIC_SPECIES
Bi 208.98 Bi.upf
Sb 121.76 Sb.upf
O 16.00 O.upf
CELL_PARAMETERS angstrom
-1.652 3.313 -4.488
-2.438 -8.803 -5.602
-15.612 0.454 6.081
ATOMIC_POSITIONS crystal
Bi 0.942 0.838 0.802
Bi 0.058 0.162 0.198
Bi 0.558 0.338 0.198
Bi 0.058 0.662 0.302
Bi 0.442 0.162 0.698
Bi 0.442 0.662 0.802
Bi 0.558 0.838 0.302
Bi 0.942 0.338 0.698
Sb 0.971 0.350 0.392
Sb 0.529 0.850 0.608
Sb 0.029 0.650 0.608
Sb 0.471 0.150 0.392
Sb 0.029 0.150 0.892
Sb 0.971 0.850 0.108
Sb 0.529 0.350 0.892
Sb 0.471 0.650 0.108
O 0.864 0.290 0.285
O 0.204 0.023 0.946
O 0.296 0.523 0.054
O 0.256 0.800 0.861
O 0.244 0.300 0.139
O 0.864 0.790 0.215
O 0.244 0.800 0.361
O 0.636 0.790 0.715
O 0.204 0.523 0.554
O 0.136 0.710 0.715
O 0.636 0.290 0.785
O 0.720 0.241 0.442
O 0.704 0.977 0.554
O 0.744 0.700 0.361
O 0.173 0.978 0.159
O 0.704 0.477 0.946
O 0.136 0.210 0.785
O 0.756 0.200 0.639
O 0.220 0.759 0.058
O 0.296 0.023 0.446
O 0.280 0.759 0.558
O 0.827 0.022 0.841
O 0.744 0.200 0.139
O 0.673 0.022 0.341
O 0.280 0.259 0.942
O 0.220 0.259 0.442
O 0.796 0.477 0.446
O 0.796 0.977 0.054
O 0.673 0.522 0.159
O 0.780 0.741 0.558
O 0.780 0.241 0.942
O 0.720 0.741 0.058
O 0.827 0.522 0.659
O 0.756 0.700 0.861
O 0.256 0.300 0.639
O 0.173 0.478 0.341
O 0.327 0.478 0.841
O 0.364 0.210 0.285
O 0.327 0.978 0.659
O 0.364 0.710 0.215

=====

! RbCo2As2 (PBE-GGA, relaxed); values from VASP
! Energy of formation in meV per atom: -390
! Electronic total energy in Ha/atom: -0.195
&SYSTEM
  ibrav = 0, nat = 5, ntyp = 3
/
ATOMIC_SPECIES
Rb 85.47 Rb.upf
Co 58.93 Co.upf
As 74.92 As.upf
CELL_PARAMETERS angstrom
-1.897 1.897 7.249
1.897 -1.897 7.249
1.897 1.897 -7.249
ATOMIC_POSITIONS crystal
Rb 0.000 0.000 0.000
Co 0.750 0.250 0.500
Co 0.250 0.750 0.500
As 0.342 0.342 0.000
As 0.658 0.658 0.000

=====

! SnSb2Te4 (PBE-GGA, relaxed); values from VASP
! Energy of formation in meV per atom: -422
! Electronic total energy in Ha/atom: -0.137
&SYSTEM
  ibrav = 0, nat = 7, ntyp = 3
/
ATOMIC_SPECIES
Sn 118.71 Sn.upf
Sb 121.76 Sb.upf
Te 127.60 Te.upf
CELL_PARAMETERS angstrom
-8.775 8.079 8.038
-11.661 6.769 5.008
-10.821 4.226 8.481
ATOMIC_POSITIONS crystal
Sn 0.000 0.000 0.000
Sb 0.425 0.425 0.425
Sb 0.575 0.575 0.575
Te 0.131 0.131 0.131
Te 0.869 0.869 0.869
Te 0.288 0.288 0.288
Te 0.712 0.712 0.712